The following is a DFT calculation (r2SCAN) of a geometry-optimized CrNiO4 structure.

Unit cell a=4.907 b=4.907 c=6.099 alpha=90.00 beta=90.00 gamma=112.40
Fractional coordinates of all 12 atoms:
Cr: 0.642 0.358 0.250
Cr: 0.358 0.642 0.750
Ni: 0.000 0.000 0.500
Ni: 0.000 0.000 0.000
O: 0.220 0.268 0.750
O: 0.780 0.732 0.250
O: 0.268 0.220 0.250
O: 0.732 0.780 0.750
O: 0.241 0.759 0.965
O: 0.759 0.241 0.465
O: 0.759 0.241 0.035
O: 0.241 0.759 0.535

Magnetic moment   4.00 Bohr magnetons per cell
Density   4.3 g/cm³
Total energy   -60.78 eV per formula unit

The following is a DFT calculation (r2SCAN) of a geometry-optimized SiO2 structure.

Unit cell a=4.917 b=4.917 c=5.432 alpha=90.00 beta=90.00 gamma=120.00
Fractional coordinates of all 9 atoms:
Si: 0.000 0.469 0.333
Si: 0.531 0.531 0.000
Si: 0.469 0.000 0.667
O: 0.145 0.731 0.548
O: 0.587 0.855 0.881
O: 0.269 0.413 0.214
O: 0.413 0.269 0.786
O: 0.855 0.587 0.119
O: 0.731 0.145 0.452

Magnetic moment   0.00 Bohr magnetons per cell
Density   2.6 g/cm³
Total energy   -29.83 eV per formula unit

The following is a DFT calculation (r2SCAN) of a geometry-optimized La3TaO7 structure.

Unit cell a=6.752 b=6.752 c=3.956 alpha=90.00 beta=90.00 gamma=110.70
Fractional coordinates of all 11 atoms:
La: 0.000 0.000 0.000
La: 0.500 0.000 0.500
La: 0.000 0.500 0.500
Ta: 0.500 0.500 0.000
O: 0.500 0.500 0.500
O: 0.432 0.186 0.000
O: 0.814 0.568 0.000
O: 0.568 0.814 0.000
O: 0.186 0.432 0.000
O: 0.130 0.870 0.500
O: 0.870 0.130 0.500

Magnetic moment   0.00 Bohr magnetons per cell
Density   7.0 g/cm³
Total energy   -219.85 eV per formula unit

The following is a DFT calculation (r2SCAN) of a geometry-optimized YbSi2Au2 structure.

Unit cell a=4.203 b=4.203 c=5.888 alpha=110.91 beta=110.91 gamma=90.00
Fractional coordinates of all 5 atoms:
Yb: 0.000 0.000 0.000
Si: 0.611 0.611 0.222
Si: 0.389 0.389 0.778
Au: 0.250 0.750 0.500
Au: 0.750 0.250 0.500

Magnetic moment   0.00 Bohr magnetons per cell
Density   11.5 g/cm³
Total energy   -157.88 eV per formula unit

The following is a DFT calculation (r2SCAN) of a geometry-optimized GdSi2Ni2 structure.

Unit cell a=5.530 b=5.530 c=5.530 alpha=137.94 beta=137.94 gamma=60.99
Fractional coordinates of all 5 atoms:
Gd: 0.000 0.000 0.000
Si: 0.629 0.629 0.000
Si: 0.371 0.371 0.000
Ni: 0.250 0.750 0.500
Ni: 0.750 0.250 0.500

Magnetic moment   7.39 Bohr magnetons per cell
Density   7.3 g/cm³
Total energy   -89.09 eV per formula unit

The following is a DFT calculation (r2SCAN) of a geometry-optimized NdCuGe2 structure.

Unit cell a=8.869 b=8.869 c=4.194 alpha=90.00 beta=90.00 gamma=152.18
Fractional coordinates of all 8 atoms:
Nd: 0.896 0.104 0.750
Nd: 0.104 0.896 0.250
Cu: 0.676 0.324 0.750
Cu: 0.324 0.676 0.250
Ge: 0.539 0.461 0.750
Ge: 0.461 0.539 0.250
Ge: 0.249 0.751 0.750
Ge: 0.751 0.249 0.250

Magnetic moment   0.00 Bohr magnetons per cell
Density   7.6 g/cm³
Total energy   -70.56 eV per formula unit

The following is a DFT calculation (r2SCAN) of a geometry-optimized La5In3Br structure.

Unit cell a=9.812 b=9.812 c=6.946 alpha=90.00 beta=90.00 gamma=120.00
Fractional coordinates of all 18 atoms:
La: 0.733 0.733 0.250
La: 0.000 0.733 0.750
La: 0.733 0.000 0.750
La: 0.333 0.667 0.500
La: 0.267 0.267 0.750
La: 0.000 0.267 0.250
La: 0.667 0.333 0.500
La: 0.267 0.000 0.250
La: 0.333 0.667 0.000
La: 0.667 0.333 0.000
In: 0.389 0.000 0.750
In: 0.000 0.611 0.250
In: 0.610 0.000 0.250
In: 0.000 0.390 0.750
In: 0.389 0.390 0.250
In: 0.610 0.611 0.750
Br: 0.000 0.000 0.500
Br: 0.000 0.000 0.000

Magnetic moment   2.15 Bohr magnetons per cell
Density   6.4 g/cm³
Total energy   -237.32 eV per formula unit

The following is a DFT calculation (r2SCAN) of a geometry-optimized Sb6O13 structure.

Unit cell a=7.307 b=14.627 c=12.657 alpha=30.08 beta=53.75 gamma=59.23
Fractional coordinates of all 38 atoms:
Sb: 0.489 0.000 0.026
Sb: 0.000 0.250 0.500
Sb: 0.000 0.750 0.000
Sb: 0.511 0.500 0.974
Sb: 0.500 0.250 0.500
Sb: 0.488 0.500 0.502
Sb: 0.005 0.000 0.497
Sb: 0.500 0.250 0.000
Sb: 0.500 0.750 0.500
Sb: 0.995 0.500 0.503
Sb: 0.512 0.000 0.498
Sb: 0.500 0.750 0.000
O: 0.185 0.197 0.181
O: 0.183 0.500 0.117
O: 0.174 0.000 0.584
O: 0.558 0.203 0.180
O: 0.171 0.308 0.558
O: 0.171 0.692 0.174
O: 0.425 0.200 0.425
O: 0.572 0.500 0.181
O: 0.428 0.000 0.819
O: 0.179 0.500 0.566
O: 0.575 0.300 0.575
O: 0.575 0.700 0.175
O: 0.829 0.192 0.442
O: 0.185 0.803 0.574
O: 0.442 0.297 0.820
O: 0.442 0.703 0.415
O: 0.559 0.000 0.170
O: 0.826 0.500 0.416
O: 0.441 0.500 0.830
O: 0.558 0.797 0.585
O: 0.815 0.303 0.819
O: 0.815 0.697 0.426
O: 0.425 0.800 0.825
O: 0.821 0.000 0.434
O: 0.829 0.808 0.826
O: 0.817 0.000 0.883

Magnetic moment   0.00 Bohr magnetons per cell
Density   5.7 g/cm³
Total energy   -259.64 eV per formula unit